The following is a PBE calculation of an optimized crystal structure of CaAl2Si6O20, from the Materials Project database.

Lattice parameters (Å, degrees): 16.953 7.380 7.601 71.14 90.00 90.00
Atoms (fractional coordinates):
O (0.132, 0.852, 0.029)
Si (0.949, 0.138, 0.145)
O (0.224, 0.647, 0.173)
O (0.348, 0.447, 0.635)
Si (0.449, 0.862, 0.855)
O (0.791, 0.821, 0.541)
Si (0.866, 0.329, 0.390)
O (0.417, 0.686, 0.785)
O (0.917, 0.314, 0.215)
O (0.045, 0.384, 0.676)
O (0.632, 0.148, 0.971)
Si (0.604, 0.121, 0.184)
O (0.946, 0.681, 0.607)
Si (0.235, 0.986, 0.511)
O (0.245, 0.345, 0.819)
Si (0.540, 0.383, 0.381)
Ca (0.247, 0.330, 0.148)
O (0.291, 0.179, 0.459)
O (0.582, 0.285, 0.578)
Si (0.104, 0.879, 0.816)
Si (0.040, 0.617, 0.619)
O (0.084, 0.674, 0.788)
O (0.524, 0.992, 0.223)
Si (0.980, 0.212, 0.738)
Al (0.373, 0.246, 0.567)
O (0.545, 0.616, 0.324)
O (0.893, 0.671, 0.890)
O (0.745, 0.655, 0.181)
O (0.432, 0.784, 0.079)
O (0.932, 0.216, 0.921)
O (0.401, 0.056, 0.758)
Al (0.614, 0.092, 0.763)
O (0.914, 0.228, 0.580)
O (0.024, 0.008, 0.777)
O (0.848, 0.553, 0.365)
O (0.082, 0.715, 0.422)
O (0.198, 0.013, 0.305)
O (0.414, 0.772, 0.420)
O (0.724, 0.353, 0.827)
O (0.544, 0.901, 0.818)
O (0.446, 0.319, 0.393)
Ca (0.747, 0.670, 0.852)
O (0.782, 0.216, 0.403)
O (0.602, 0.624, 0.816)
O (0.698, 0.987, 0.695)
O (0.102, 0.376, 0.184)
Si (0.735, 0.014, 0.489)
O (0.670, 0.007, 0.334)
O (0.282, 0.784, 0.597)
Si (0.366, 0.671, 0.610)
Si (0.480, 0.788, 0.262)
O (0.901, 0.944, 0.242)
O (0.584, 0.326, 0.212)
O (0.044, 0.099, 0.182)
Al (0.873, 0.754, 0.433)
O (0.393, 0.329, 0.110)
O (0.170, 0.993, 0.666)
Al (0.114, 0.908, 0.237)

Properties
The formation energy is -2584 meV/atom. The calculation puts the polymorph energy (0 for the lowest one) at 3.8 meV per atom. As for the space group: No. 4. Its total energy is -6.9728 eV per atom. As for the mass density: 2.150 g/cm³. As for the MP2020-corrected energy: -7.447 eV per atom. The size of the total moment comes out at 0.28 μB/atom.

---

The following is a PBE calculation of an optimized crystal structure of CaAl2Si2O8, from the Materials Project database.

Lattice parameters (Å, degrees): 8.266 13.035 13.060 85.58 81.28 89.15
Atoms (fractional coordinates):
Si (0.608, 0.814, 0.386)
Ca (0.235, 0.460, 0.540)
O (0.127, 0.777, 0.364)
O (0.272, 0.595, 0.395)
Si (0.092, 0.159, 0.896)
O (0.882, 0.720, 0.136)
Al (0.993, 0.872, 0.327)
Si (0.396, 0.678, 0.110)
O (0.311, 0.355, 0.391)
O (0.523, 0.377, 0.998)
O (0.024, 0.394, 0.678)
Si (0.486, 0.116, 0.188)
O (0.561, 0.487, 0.366)
O (0.066, 0.492, 0.862)
Al (0.995, 0.378, 0.817)
O (0.464, 0.102, 0.317)
Ca (0.176, 0.020, 0.089)
O (0.969, 0.124, 0.005)
O (0.728, 0.405, 0.605)
Al (0.613, 0.666, 0.888)
O (0.416, 0.802, 0.097)
O (0.996, 0.896, 0.191)
Si (0.097, 0.656, 0.396)
O (0.976, 0.606, 0.322)
O (0.489, 0.395, 0.202)
O (0.955, 0.637, 0.733)
O (0.508, 0.626, 0.196)
O (0.209, 0.641, 0.137)
O (0.263, 0.101, 0.919)
O (0.569, 0.992, 0.856)
O (0.090, 0.179, 0.391)
O (0.002, 0.375, 0.486)
O (0.103, 0.682, 0.896)
O (0.439, 0.513, 0.634)
O (0.934, 0.508, 0.138)
O (0.737, 0.899, 0.081)
O (0.593, 0.688, 0.397)
Ca (0.316, 0.500, 0.921)
O (0.795, 0.851, 0.395)
Al (0.535, 0.887, 0.151)
Ca (0.732, 0.962, 0.541)
Al (0.005, 0.622, 0.183)
O (0.208, 0.397, 0.078)
O (0.326, 0.855, 0.853)
O (0.547, 0.857, 0.280)
Si (0.020, 0.897, 0.664)
Ca (0.765, 0.540, 0.460)
Al (0.524, 0.391, 0.668)
O (0.498, 0.127, 0.516)
Al (0.007, 0.128, 0.673)
O (0.031, 0.876, 0.995)
O (0.641, 0.797, 0.852)
Al (0.873, 0.185, 0.118)
Al (0.127, 0.815, 0.882)
O (0.674, 0.145, 0.147)
Si (0.980, 0.103, 0.336)
O (0.897, 0.318, 0.104)
Al (0.889, 0.686, 0.621)
Si (0.903, 0.344, 0.604)
O (0.004, 0.104, 0.809)
Si (0.908, 0.841, 0.104)
O (0.910, 0.821, 0.609)
O (0.998, 0.625, 0.514)
O (0.791, 0.359, 0.863)
O (0.689, 0.645, 0.609)
O (0.359, 0.203, 0.148)
Si (0.504, 0.622, 0.673)
Si (0.023, 0.393, 0.148)
O (0.063, 0.990, 0.364)
O (0.431, 0.008, 0.144)
Ca (0.824, 0.980, 0.911)
O (0.584, 0.198, 0.903)
Al (0.465, 0.113, 0.849)
Al (0.111, 0.314, 0.379)
O (0.502, 0.873, 0.484)
O (0.374, 0.710, 0.646)
O (0.993, 0.125, 0.210)
Si (0.392, 0.186, 0.614)
Ca (0.268, 0.038, 0.459)
Si (0.977, 0.607, 0.852)
Al (0.476, 0.609, 0.332)
Ca (0.684, 0.500, 0.079)
O (0.792, 0.603, 0.922)
O (0.045, 0.363, 0.267)
O (0.789, 0.095, 0.394)
Al (0.398, 0.840, 0.611)
Si (0.514, 0.884, 0.812)
Al (0.602, 0.160, 0.389)
Al (0.387, 0.334, 0.112)
O (0.007, 0.875, 0.790)
O (0.492, 0.374, 0.804)
O (0.536, 0.898, 0.683)
O (0.511, 0.605, 0.798)
O (0.937, 0.010, 0.636)
Si (0.496, 0.378, 0.327)
O (0.118, 0.280, 0.864)
O (0.407, 0.312, 0.603)
O (0.205, 0.149, 0.605)
Si (0.604, 0.322, 0.890)
O (0.873, 0.223, 0.636)
O (0.477, 0.623, 0.002)
O (0.211, 0.905, 0.606)
O (0.453, 0.143, 0.720)
O (0.626, 0.290, 0.354)

Properties
The formation energy is -3426 meV/atom. The calculation puts the polymorph energy (0 for the lowest one) at 0.7 meV per atom. As for the space group: No. 2. Its total energy is -7.6130 eV per atom. As for the mass density: 2.665 g/cm³. As for the MP2020-corrected energy: -8.036 eV per atom. The size of the total moment comes out at 0.00 μB/atom.

---

The following is a PBE calculation of an optimized crystal structure of CaAl2Si3O10, from the Materials Project database.

Lattice parameters (Å, degrees): 8.059 9.683 9.763 75.87 79.81 98.74
Atoms (fractional coordinates):
Si (0.466, 0.957, 0.987)
O (0.934, 0.992, 0.512)
Si (0.053, 0.169, 0.442)
O (0.572, 0.838, 0.040)
O (0.413, 0.024, 0.131)
Si (0.964, 0.011, 0.043)
O (0.182, 0.117, 0.565)
O (0.678, 0.426, 0.890)
O (0.067, 0.957, 0.163)
Al (0.721, 0.739, 0.983)
Ca (0.383, 0.279, 0.809)
Si (0.608, 0.440, 0.064)
O (0.095, 0.107, 0.877)
O (0.223, 0.901, 0.425)
O (0.584, 0.278, 0.169)
Al (0.213, 0.015, 0.258)
O (0.595, 0.124, 0.891)
Ca (0.880, 0.182, 0.723)
Si (0.111, 0.940, 0.560)
O (0.945, 0.278, 0.495)
O (0.163, 0.183, 0.281)
Si (0.558, 0.559, 0.835)
O (0.452, 0.509, 0.726)
Al (0.130, 0.922, 0.850)
O (0.438, 0.501, 0.011)
Al (0.623, 0.152, 0.076)
O (0.678, 0.717, 0.816)
O (0.728, 0.571, 0.099)
O (0.097, 0.837, 0.719)
O (0.322, 0.919, 0.902)
O (0.918, 0.865, 0.977)
O (0.814, 0.095, 0.081)

Properties
The formation energy is -3033 meV/atom. The calculation puts the polymorph energy (0 for the lowest one) at 291.7 meV per atom. As for the space group: No. 1. Its total energy is -7.3070 eV per atom. As for the mass density: 1.578 g/cm³. As for the MP2020-corrected energy: -7.736 eV per atom. The size of the total moment comes out at 0.00 μB/atom.

---

The following is a PBE calculation of an optimized crystal structure of Ca2AlSi4O12, from the Materials Project database.

Lattice parameters (Å, degrees): 4.818 5.372 18.541 90.00 90.00 90.00
Atoms (fractional coordinates):
Al (0.000, 0.000, 0.000)
Ca (0.000, 0.000, 0.594)
O (0.633, 0.781, 0.176)
Si (0.500, 0.500, 0.381)
O (0.633, 0.719, 0.676)
O (0.821, 0.696, 0.000)
O (0.246, 0.870, 0.922)
Si (0.810, 0.750, 0.250)
O (0.754, 0.130, 0.078)
O (0.367, 0.219, 0.176)
O (0.179, 0.196, 0.500)
O (0.246, 0.870, 0.078)
Ca (0.000, 0.000, 0.406)
O (0.179, 0.304, 0.000)
O (0.633, 0.719, 0.324)
Si (0.810, 0.750, 0.750)
Si (0.190, 0.250, 0.250)
O (0.754, 0.370, 0.422)
O (0.367, 0.281, 0.676)
O (0.000, 0.000, 0.734)
O (0.754, 0.370, 0.578)
O (0.246, 0.630, 0.578)
O (0.246, 0.630, 0.422)
Si (0.500, 0.000, 0.881)
Si (0.500, 0.500, 0.619)
O (0.000, 0.000, 0.266)
Si (0.500, 0.000, 0.119)
O (0.633, 0.781, 0.824)
Ca (0.000, 0.500, 0.906)
O (0.754, 0.130, 0.922)
O (0.821, 0.804, 0.500)
O (0.367, 0.281, 0.324)
Al (0.000, 0.500, 0.500)
O (0.000, 0.500, 0.234)
O (0.000, 0.500, 0.766)
O (0.367, 0.219, 0.824)
Si (0.190, 0.250, 0.750)
Ca (0.000, 0.500, 0.094)

Properties
The formation energy is -3159 meV/atom. As for the space group: No. 53. Its total energy is -7.4005 eV per atom. As for the mass density: 2.848 g/cm³. As for the MP2020-corrected energy: -7.834 eV per atom. The size of the total moment comes out at 0.05 μB/atom.

---

The following is a PBE calculation of an optimized crystal structure of CaAl2Si3O13, from the Materials Project database.

Lattice parameters (Å, degrees): 9.879 9.879 9.657 84.38 84.38 140.41
Atoms (fractional coordinates):
O (0.503, 0.180, 0.789)
Si (0.885, 0.646, 0.984)
O (0.993, 0.719, 0.121)
O (0.744, 0.240, 0.240)
Al (0.628, 0.189, 0.911)
O (0.104, 0.290, 0.686)
O (0.258, 0.662, 0.828)
O (0.784, 0.169, 0.841)
Ca (0.022, 0.206, 0.940)
O (0.290, 0.104, 0.186)
O (0.060, 0.859, 0.840)
O (0.240, 0.744, 0.740)
O (0.706, 0.816, 0.056)
O (0.417, 0.966, 0.065)
O (0.662, 0.258, 0.328)
O (0.180, 0.503, 0.289)
O (0.320, 0.206, 0.623)
Si (0.303, 0.126, 0.789)
Si (0.646, 0.885, 0.484)
O (0.662, 0.567, 0.025)
Si (0.891, 0.222, 0.671)
O (0.169, 0.784, 0.341)
O (0.816, 0.706, 0.556)
O (0.292, 0.240, 0.897)
O (0.719, 0.993, 0.621)
O (0.206, 0.320, 0.123)
O (0.240, 0.292, 0.397)
O (0.439, 0.808, 0.457)
Si (0.126, 0.303, 0.289)
O (0.808, 0.439, 0.957)
O (0.859, 0.060, 0.340)
Ca (0.206, 0.022, 0.440)
Al (0.315, 0.376, 0.559)
Al (0.376, 0.315, 0.059)
O (0.567, 0.662, 0.525)
Si (0.222, 0.891, 0.171)
Al (0.189, 0.628, 0.411)
O (0.966, 0.417, 0.565)

Properties
The formation energy is -2419 meV/atom. The calculation puts the polymorph energy (0 for the lowest one) at 125.0 meV per atom. As for the space group: No. 9. Its total energy is -7.0507 eV per atom. As for the mass density: 2.231 g/cm³. As for the MP2020-corrected energy: -7.161 eV per atom. The size of the total moment comes out at 0.21 μB/atom.

---

The following is a PBE calculation of an optimized crystal structure of Ca2Al2Si3O12, from the Materials Project database.

Lattice parameters (Å, degrees): 4.674 5.544 18.732 90.00 90.00 90.00
Atoms (fractional coordinates):
Si (0.820, 0.500, 0.500)
O (0.004, 0.739, 0.520)
O (0.833, 0.566, 0.750)
O (0.769, 0.868, 0.324)
O (0.261, 0.610, 0.176)
Al (0.203, 0.000, 0.000)
O (0.374, 0.973, 0.417)
O (0.637, 0.458, 0.926)
Si (0.508, 0.249, 0.631)
O (0.186, 0.049, 0.250)
O (0.374, 0.027, 0.917)
O (0.374, 0.027, 0.583)
O (0.261, 0.610, 0.324)
O (0.004, 0.739, 0.980)
Al (0.203, 0.000, 0.500)
O (0.261, 0.390, 0.824)
Ca (0.010, 0.759, 0.649)
Si (0.508, 0.751, 0.131)
O (0.374, 0.973, 0.083)
O (0.261, 0.390, 0.676)
O (0.637, 0.542, 0.426)
O (0.637, 0.542, 0.074)
Ca (0.010, 0.241, 0.351)
O (0.004, 0.261, 0.480)
Al (0.014, 0.261, 0.750)
O (0.769, 0.132, 0.676)
O (0.769, 0.132, 0.824)
Si (0.508, 0.751, 0.369)
O (0.004, 0.261, 0.020)
Ca (0.010, 0.759, 0.851)
O (0.637, 0.458, 0.574)
O (0.769, 0.868, 0.176)
Si (0.820, 0.500, 0.000)
O (0.186, 0.951, 0.750)
O (0.833, 0.434, 0.250)
Ca (0.010, 0.241, 0.149)
Al (0.014, 0.739, 0.250)
Si (0.508, 0.249, 0.869)

Properties
The formation energy is -3125 meV/atom. As for the space group: No. 28. Its total energy is -7.2779 eV per atom. As for the mass density: 2.808 g/cm³. As for the MP2020-corrected energy: -7.712 eV per atom. The size of the total moment comes out at 0.11 μB/atom.

---

The following is a PBE calculation of an optimized crystal structure of CaAl2Si4O15, from the Materials Project database.

Lattice parameters (Å, degrees): 7.626 10.050 10.087 83.38 74.91 74.81
Atoms (fractional coordinates):
O (0.921, 0.173, 0.414)
O (0.210, 0.506, 0.194)
O (0.448, 0.521, 0.767)
O (0.271, 0.446, 0.445)
Si (0.326, 0.301, 0.535)
O (0.218, 0.236, 0.236)
O (0.645, 0.014, 0.213)
O (0.790, 0.804, 0.494)
O (0.921, 0.414, 0.173)
O (0.552, 0.479, 0.233)
O (0.552, 0.233, 0.478)
Ca (0.734, 0.261, 0.260)
Si (0.151, 0.146, 0.378)
O (0.782, 0.764, 0.764)
O (0.248, 0.350, 0.985)
O (0.079, 0.827, 0.586)
O (0.729, 0.554, 0.555)
O (0.354, 0.819, 0.949)
O (0.723, 0.676, 0.304)
O (0.277, 0.324, 0.696)
O (0.790, 0.494, 0.806)
Si (0.151, 0.378, 0.144)
O (0.383, 0.941, 0.907)
Si (0.849, 0.854, 0.622)
O (0.210, 0.196, 0.506)
O (0.355, 0.986, 0.787)
O (0.646, 0.181, 0.051)
Si (0.675, 0.464, 0.700)
O (0.752, 0.650, 0.015)
O (0.617, 0.059, 0.093)
Si (0.849, 0.622, 0.856)
Al (0.736, 0.178, 0.568)
Al (0.264, 0.431, 0.822)
O (0.727, 0.302, 0.676)
Si (0.325, 0.536, 0.300)
Ca (0.266, 0.739, 0.740)
O (0.250, 0.985, 0.351)
Al (0.264, 0.822, 0.432)
Si (0.674, 0.699, 0.465)
O (0.448, 0.767, 0.522)
O (0.750, 0.015, 0.649)
Al (0.736, 0.569, 0.178)
O (0.273, 0.698, 0.324)
O (0.079, 0.586, 0.827)

Properties
The formation energy is -2454 meV/atom. As for the space group: No. 2. Its total energy is -7.2459 eV per atom. As for the mass density: 2.061 g/cm³. The size of the total moment comes out at 0.00 μB/atom.

---

The following is a PBE calculation of an optimized crystal structure of CaAl2Si4O14, from the Materials Project database.

Lattice parameters (Å, degrees): 10.038 10.038 7.563 74.40 74.40 82.98
Atoms (fractional coordinates):
Si (0.935, 0.231, 0.176)
O (0.538, 0.437, 0.220)
O (0.260, 0.995, 0.154)
O (0.932, 0.090, 0.774)
Si (0.534, 0.301, 0.823)
O (0.643, 0.938, 0.427)
Al (0.053, 0.202, 0.762)
O (0.563, 0.462, 0.780)
Ca (0.482, 0.012, 0.237)
O (0.584, 0.749, 0.765)
Al (0.670, 0.589, 0.767)
O (0.251, 0.416, 0.235)
O (0.707, 0.001, 0.053)
Ca (0.988, 0.518, 0.763)
O (0.468, 0.003, 0.730)
O (0.723, 0.571, 0.298)
O (0.474, 0.764, 0.250)
O (0.789, 0.320, 0.236)
O (0.824, 0.599, 0.577)
O (0.999, 0.293, 0.947)
Si (0.699, 0.466, 0.177)
O (0.429, 0.277, 0.702)
O (0.741, 0.959, 0.710)
O (0.236, 0.526, 0.750)
O (0.401, 0.176, 0.423)
Al (0.798, 0.947, 0.238)
O (0.062, 0.357, 0.573)
O (0.881, 0.784, 0.242)
O (0.762, 0.536, 0.950)
O (0.216, 0.119, 0.758)
Si (0.769, 0.065, 0.824)
O (0.005, 0.740, 0.846)
O (0.464, 0.238, 0.050)
O (0.910, 0.068, 0.226)
Al (0.411, 0.330, 0.233)
O (0.041, 0.259, 0.290)
O (0.997, 0.532, 0.270)
O (0.680, 0.211, 0.764)
Si (0.609, 0.910, 0.659)
Si (0.090, 0.391, 0.341)
Si (0.856, 0.624, 0.346)
Si (0.376, 0.144, 0.654)

Properties
The formation energy is -2825 meV/atom. The calculation puts the polymorph energy (0 for the lowest one) at 6.2 meV per atom. As for the space group: No. 5. Its total energy is -7.1512 eV per atom. As for the mass density: 2.025 g/cm³. As for the MP2020-corrected energy: -7.609 eV per atom. The size of the total moment comes out at 0.19 μB/atom.